Entry 1:
## PmTmAl2 (r2SCAN)

Data for a geometry-optimized PmTmAl2 structure.

Computed properties:
Electronic total energy, eV per atom: -19.948
ΔE_f, kJ/mol of atoms: -40.2
Magnetic moment, μB/atom: 0.00
Volume, Å³/cell: 377
Crystal system: cubic

abc: 7.223 7.223 7.223
angles: 90.00 90.00 90.00
Atoms (fractional coordinates):
Pm: 0.000 0.000 0.000
Pm: 0.000 0.500 0.500
Pm: 0.500 0.000 0.500
Pm: 0.500 0.500 0.000
Tm: 0.000 0.000 0.500
Tm: 0.000 0.500 0.000
Tm: 0.500 0.000 0.000
Tm: 0.500 0.500 0.500
Al: 0.250 0.250 0.250
Al: 0.250 0.250 0.750
Al: 0.250 0.750 0.250
Al: 0.250 0.750 0.750
Al: 0.750 0.250 0.250
Al: 0.750 0.250 0.750
Al: 0.750 0.750 0.250
Al: 0.750 0.750 0.750


Entry 2:
## Nd4Ge3S12 (r2SCAN)

Data for a geometry-optimized Nd4Ge3S12 structure.

Computed properties:
Electronic total energy, eV per atom: -14.918
ΔE_f, kJ/mol of atoms: -140.9
Magnetic moment, μB/atom: 0.00
Volume, Å³/cell: 871
Crystal system: trigonal

abc: 11.528 11.528 11.528
angles: 114.82 114.82 114.82
Atoms (fractional coordinates):
Nd: 0.000 0.000 0.000
Nd: 0.215 0.439 0.977
Nd: 0.439 0.977 0.215
Nd: 0.477 0.939 0.715
Nd: 0.500 0.500 0.500
Nd: 0.715 0.477 0.939
Nd: 0.939 0.715 0.477
Nd: 0.977 0.215 0.439
Ge: 0.146 0.972 0.358
Ge: 0.358 0.146 0.972
Ge: 0.472 0.646 0.858
Ge: 0.646 0.858 0.472
Ge: 0.858 0.472 0.646
Ge: 0.972 0.358 0.146
S: 0.089 0.632 0.355
S: 0.090 0.801 0.117
S: 0.117 0.090 0.801
S: 0.132 0.589 0.855
S: 0.187 0.189 0.374
S: 0.189 0.374 0.187
S: 0.284 0.889 0.816
S: 0.301 0.590 0.617
S: 0.316 0.389 0.784
S: 0.355 0.089 0.632
S: 0.374 0.187 0.189
S: 0.389 0.784 0.316
S: 0.589 0.855 0.132
S: 0.590 0.617 0.301
S: 0.617 0.301 0.590
S: 0.632 0.355 0.089
S: 0.687 0.874 0.689
S: 0.689 0.687 0.874
S: 0.784 0.316 0.389
S: 0.801 0.117 0.090
S: 0.816 0.284 0.889
S: 0.855 0.132 0.589
S: 0.874 0.689 0.687
S: 0.889 0.816 0.284